Compound: TbHoFe4
Source: the Materials Project database
Functional: PBE-GGA
Structure: relaxed

a b c (Å): 5.1519 5.1519 5.1519
angles (deg): 60.00 60.00 60.00
Positions (direct):
Tb (0.0000, 0.0000, 0.0000)
Ho (0.7500, 0.7500, 0.7500)
Fe (0.3750, 0.3750, 0.3750)
Fe (0.3750, 0.3750, 0.8750)
Fe (0.3750, 0.8750, 0.3750)
Fe (0.8750, 0.3750, 0.3750)

Calculated total energy in eV per atom: -7.26
ΔH_f (0 K) in kcal/mol of atoms: -1.77